# Ba3GaP3 (meta-GGA r2SCAN, relaxed)
data_Ba3GaP3
_chemical_formula_sum 'Ba12 Ga4 P12'
_symmetry_space_group_name_H-M 'P 1'
_symmetry_Int_Tables_number 1
_symmetry_space_group_name_Hall 'P 1'
_cell_length_a 10.362
_cell_length_b 10.362
_cell_length_c 13.115
_cell_angle_alpha 90.00
_cell_angle_beta 90.00
_cell_angle_gamma 141.93
loop_
_atom_site_label
_atom_site_fract_x
_atom_site_fract_y
_atom_site_fract_z
P1 0.966 0.654 0.884
P2 0.346 0.034 0.116
P3 0.804 0.804 0.094
P4 0.154 0.466 0.616
P5 0.304 0.304 0.406
P6 0.696 0.696 0.594
P7 0.466 0.154 0.616
P8 0.846 0.534 0.384
P9 0.034 0.346 0.116
P10 0.534 0.846 0.384
P11 0.654 0.966 0.884
P12 0.196 0.196 0.906
Ba1 0.514 0.865 0.130
Ba2 0.672 0.672 0.849
Ba3 0.828 0.828 0.349
Ba4 0.172 0.172 0.651
Ba5 0.014 0.365 0.370
Ba6 0.865 0.514 0.130
Ba7 0.486 0.135 0.870
Ba8 0.635 0.986 0.630
Ba9 0.986 0.635 0.630
Ba10 0.328 0.328 0.151
Ba11 0.135 0.486 0.870
Ba12 0.365 0.014 0.370
Ga1 0.584 0.416 0.500
Ga2 0.084 0.916 0.000
Ga3 0.916 0.084 0.000
Ga4 0.416 0.584 0.500
# space-group type: Cmce (64)
# E: -17.949 eV per atom

***

# PmCd3 (meta-GGA r2SCAN, relaxed)
data_PmCd3
_chemical_formula_sum 'Pm1 Cd3'
_symmetry_space_group_name_H-M 'P 1'
_symmetry_Int_Tables_number 1
_symmetry_space_group_name_Hall 'P 1'
_cell_length_a 5.106
_cell_length_b 5.106
_cell_length_c 5.106
_cell_angle_alpha 60.00
_cell_angle_beta 60.00
_cell_angle_gamma 60.00
loop_
_atom_site_label
_atom_site_fract_x
_atom_site_fract_y
_atom_site_fract_z
Pm1 0.750 0.750 0.750
Cd1 0.250 0.250 0.250
Cd2 0.000 0.000 0.000
Cd3 0.500 0.500 0.500
# space-group type: Fm-3m (225)
# E: -22.812 eV per atom

***

# LiTbTl2 (meta-GGA r2SCAN, relaxed)
data_LiTbTl2
_chemical_formula_sum 'Li1 Tb1 Tl2'
_symmetry_space_group_name_H-M 'P 1'
_symmetry_Int_Tables_number 1
_symmetry_space_group_name_Hall 'P 1'
_cell_length_a 5.158
_cell_length_b 5.158
_cell_length_c 5.158
_cell_angle_alpha 60.00
_cell_angle_beta 60.00
_cell_angle_gamma 60.00
loop_
_atom_site_label
_atom_site_fract_x
_atom_site_fract_y
_atom_site_fract_z
Tl1 0.000 0.000 0.000
Tl2 0.500 0.500 0.500
Tb1 0.750 0.750 0.750
Li1 0.250 0.250 0.250
# space-group type: Fm-3m (225)
# E: -35.396 eV per atom

***

# Cs3TlF6 (meta-GGA r2SCAN, relaxed)
data_Cs3TlF6
_chemical_formula_sum 'Cs3 Tl1 F6'
_symmetry_space_group_name_H-M 'P 1'
_symmetry_Int_Tables_number 1
_symmetry_space_group_name_Hall 'P 1'
_cell_length_a 6.860
_cell_length_b 6.860
_cell_length_c 7.088
_cell_angle_alpha 118.94
_cell_angle_beta 118.94
_cell_angle_gamma 90.00
loop_
_atom_site_label
_atom_site_fract_x
_atom_site_fract_y
_atom_site_fract_z
Cs1 0.250 0.750 0.500
Cs2 0.500 0.500 0.000
Cs3 0.750 0.250 0.500
F1 0.000 0.311 0.000
F2 0.311 0.000 0.000
F3 0.689 0.000 0.000
F4 0.779 0.779 0.558
F5 0.000 0.689 0.000
F6 0.221 0.221 0.442
Tl1 0.000 0.000 0.000
# space-group type: I4/mmm (139)
# E: -17.283 eV per atom

***

# Ba6Mn5O16 (meta-GGA r2SCAN, relaxed)
data_Ba6Mn5O16
_chemical_formula_sum 'Ba12 Mn10 O32'
_symmetry_space_group_name_H-M 'P 1'
_symmetry_Int_Tables_number 1
_symmetry_space_group_name_Hall 'P 1'
_cell_length_a 7.216
_cell_length_b 7.216
_cell_length_c 20.077
_cell_angle_alpha 90.00
_cell_angle_beta 90.00
_cell_angle_gamma 133.19
loop_
_atom_site_label
_atom_site_fract_x
_atom_site_fract_y
_atom_site_fract_z
Ba1 0.878 0.122 0.838
Ba2 0.085 0.915 0.678
Ba3 0.122 0.878 0.162
Ba4 0.855 0.145 0.520
Ba5 0.145 0.855 0.480
Ba6 0.585 0.415 0.822
Ba7 0.415 0.585 0.178
Ba8 0.355 0.645 0.980
Ba9 0.915 0.085 0.322
Ba10 0.645 0.355 0.020
Ba11 0.622 0.378 0.338
Ba12 0.378 0.622 0.662
O1 0.560 0.009 0.115
O2 0.856 0.144 0.998
O3 0.383 0.617 0.815
O4 0.509 0.060 0.615
O5 0.489 0.011 0.750
O6 0.989 0.511 0.750
O7 0.203 0.242 0.069
O8 0.144 0.856 0.002
O9 0.117 0.883 0.315
O10 0.440 0.991 0.885
O11 0.742 0.703 0.569
O12 0.297 0.258 0.569
O13 0.644 0.356 0.498
O14 0.797 0.758 0.931
O15 0.590 0.410 0.684
O16 0.703 0.742 0.431
O17 0.910 0.090 0.184
O18 0.617 0.383 0.185
O19 0.410 0.590 0.316
O20 0.258 0.297 0.431
O21 0.009 0.560 0.885
O22 0.883 0.117 0.685
O23 0.242 0.203 0.931
O24 0.356 0.644 0.502
O25 0.511 0.989 0.250
O26 0.758 0.797 0.069
O27 0.060 0.509 0.385
O28 0.991 0.440 0.115
O29 0.090 0.910 0.816
O30 0.011 0.489 0.250
O31 0.491 0.940 0.385
O32 0.940 0.491 0.615
Mn1 0.749 0.251 0.689
Mn2 0.377 0.623 0.407
Mn3 0.123 0.877 0.907
Mn4 0.000 0.000 0.000
Mn5 0.500 0.500 0.500
Mn6 0.249 0.751 0.811
Mn7 0.251 0.749 0.311
Mn8 0.623 0.377 0.593
Mn9 0.877 0.123 0.093
Mn10 0.751 0.249 0.189
# space-group type: Cmce (64)
# E: -14.777 eV per atom

***

# Rb3FeCl5 (meta-GGA r2SCAN, relaxed)
data_Rb3FeCl5
_chemical_formula_sum 'Rb6 Fe2 Cl10'
_symmetry_space_group_name_H-M 'P 1'
_symmetry_Int_Tables_number 1
_symmetry_space_group_name_Hall 'P 1'
_cell_length_a 8.859
_cell_length_b 8.859
_cell_length_c 9.415
_cell_angle_alpha 118.07
_cell_angle_beta 118.07
_cell_angle_gamma 90.00
loop_
_atom_site_label
_atom_site_fract_x
_atom_site_fract_y
_atom_site_fract_z
Cl1 0.801 0.007 0.309
Cl2 0.699 0.199 0.691
Cl3 0.500 0.500 0.000
Cl4 0.493 0.699 0.691
Cl5 0.000 0.000 0.000
Cl6 0.301 0.801 0.309
Cl7 0.199 0.993 0.691
Cl8 0.007 0.507 0.309
Cl9 0.507 0.301 0.309
Cl10 0.993 0.493 0.691
Rb1 0.161 0.339 0.000
Rb2 0.661 0.161 0.000
Rb3 0.750 0.750 0.500
Rb4 0.839 0.661 0.000
Rb5 0.250 0.250 0.500
Rb6 0.339 0.839 0.000
Fe1 0.750 0.250 0.500
Fe2 0.250 0.750 0.500
# space-group type: I4/mcm (140)
# E: -11.466 eV per atom

***

# ScSnRh2 (meta-GGA r2SCAN, relaxed)
data_ScSnRh2
_chemical_formula_sum 'Sc1 Sn1 Rh2'
_symmetry_space_group_name_H-M 'P 1'
_symmetry_Int_Tables_number 1
_symmetry_space_group_name_Hall 'P 1'
_cell_length_a 4.539
_cell_length_b 4.538
_cell_length_c 4.538
_cell_angle_alpha 60.02
_cell_angle_beta 59.99
_cell_angle_gamma 59.99
loop_
_atom_site_label
_atom_site_fract_x
_atom_site_fract_y
_atom_site_fract_z
Sn1 0.750 0.750 0.750
Sc1 0.250 0.250 0.250
Rh1 0.500 0.500 0.500
Rh2 0.000 0.000 0.000
# space-group type: Fm-3m (225)
# E: -22.017 eV per atom

***

# Li9Mn2Co5O16 (meta-GGA r2SCAN, relaxed)
data_Li9Mn2Co5O16
_chemical_formula_sum 'Li9 Mn2 Co5 O16'
_symmetry_space_group_name_H-M 'P 1'
_symmetry_Int_Tables_number 1
_symmetry_space_group_name_Hall 'P 1'
_cell_length_a 6.338
_cell_length_b 6.341
_cell_length_c 7.444
_cell_angle_alpha 75.56
_cell_angle_beta 65.40
_cell_angle_gamma 71.83
loop_
_atom_site_label
_atom_site_fract_x
_atom_site_fract_y
_atom_site_fract_z
O1 0.455 0.774 0.590
O2 0.720 0.510 0.852
O3 0.291 0.479 0.165
O4 0.028 0.744 0.902
O5 0.203 0.015 0.354
O6 0.953 0.268 0.102
O7 0.320 0.907 0.988
O8 0.428 0.344 0.764
O9 0.924 0.854 0.270
O10 0.081 0.140 0.729
O11 0.799 0.982 0.645
O12 0.673 0.109 0.024
O13 0.826 0.389 0.479
O14 0.551 0.233 0.395
O15 0.171 0.609 0.523
O16 0.576 0.646 0.225
Co1 0.625 0.378 0.123
Co2 0.126 0.873 0.627
Co3 0.747 0.252 0.751
Co4 0.874 0.125 0.376
Co5 0.500 0.500 0.503
Li1 0.556 0.940 0.321
Li2 0.789 0.685 0.581
Li3 0.383 0.620 0.868
Li4 0.685 0.804 0.928
Li5 0.944 0.556 0.182
Li6 0.068 0.446 0.812
Li7 0.318 0.204 0.051
Li8 0.187 0.311 0.441
Li9 0.444 0.059 0.685
Mn1 0.253 0.746 0.248
Mn2 0.003 0.998 0.995
# space-group type: P1 (1)
# ΔE to the lowest computed polymorph: 0.013 eV per atom

***

# ZnPd3 (meta-GGA r2SCAN, relaxed)
data_ZnPd3
_chemical_formula_sum 'Zn1 Pd3'
_symmetry_space_group_name_H-M 'P 1'
_symmetry_Int_Tables_number 1
_symmetry_space_group_name_Hall 'P 1'
_cell_length_a 3.877
_cell_length_b 3.877
_cell_length_c 3.877
_cell_angle_alpha 90.00
_cell_angle_beta 90.00
_cell_angle_gamma 90.00
loop_
_atom_site_label
_atom_site_fract_x
_atom_site_fract_y
_atom_site_fract_z
Pd1 0.500 0.500 0.000
Pd2 0.500 0.000 0.500
Pd3 0.000 0.500 0.500
Zn1 0.000 0.000 0.000
# space-group type: Pm-3m (221)
# E: -19.755 eV per atom

***

# Ac3Yb (meta-GGA r2SCAN, relaxed)
data_Ac3Yb
_chemical_formula_sum 'Ac6 Yb2'
_symmetry_space_group_name_H-M 'P 1'
_symmetry_Int_Tables_number 1
_symmetry_space_group_name_Hall 'P 1'
_cell_length_a 7.882
_cell_length_b 7.882
_cell_length_c 6.230
_cell_angle_alpha 90.00
_cell_angle_beta 90.00
_cell_angle_gamma 120.00
loop_
_atom_site_label
_atom_site_fract_x
_atom_site_fract_y
_atom_site_fract_z
Ac1 0.829 0.659 0.750
Ac2 0.829 0.171 0.750
Ac3 0.659 0.829 0.250
Ac4 0.341 0.171 0.750
Ac5 0.171 0.341 0.250
Ac6 0.171 0.829 0.250
Yb1 0.667 0.333 0.250
Yb2 0.333 0.667 0.750
# space-group type: P6_3/mmc (194)
# E: -60.560 eV per atom

***

# Na2CdSn (meta-GGA r2SCAN, relaxed)
data_Na2CdSn
_chemical_formula_sum 'Na4 Cd2 Sn2'
_symmetry_space_group_name_H-M 'P 1'
_symmetry_Int_Tables_number 1
_symmetry_space_group_name_Hall 'P 1'
_cell_length_a 4.985
_cell_length_b 4.985
_cell_length_c 10.042
_cell_angle_alpha 90.00
_cell_angle_beta 90.00
_cell_angle_gamma 120.00
loop_
_atom_site_label
_atom_site_fract_x
_atom_site_fract_y
_atom_site_fract_z
Na1 0.333 0.667 0.083
Na2 0.333 0.667 0.417
Na3 0.667 0.333 0.917
Na4 0.667 0.333 0.583
Cd1 0.000 0.000 0.250
Cd2 0.000 0.000 0.750
Sn1 0.667 0.333 0.250
Sn2 0.333 0.667 0.750
# space-group type: P6_3/mmc (194)
# E: -13.273 eV per atom

***

# LiMg2 (meta-GGA r2SCAN, relaxed)
data_LiMg2
_chemical_formula_sum 'Li2 Mg4'
_symmetry_space_group_name_H-M 'P 1'
_symmetry_Int_Tables_number 1
_symmetry_space_group_name_Hall 'P 1'
_cell_length_a 5.415
_cell_length_b 5.415
_cell_length_c 5.047
_cell_angle_alpha 90.00
_cell_angle_beta 90.00
_cell_angle_gamma 120.00
loop_
_atom_site_label
_atom_site_fract_x
_atom_site_fract_y
_atom_site_fract_z
Li1 0.333 0.667 0.500
Li2 0.667 0.333 0.500
Mg1 0.000 0.000 0.500
Mg2 0.661 0.000 0.000
Mg3 0.339 0.339 0.000
Mg4 0.000 0.661 0.000
# space-group type: P-62m (189)
# E: -3.595 eV per atom